# 1
A relaxed Na2In crystal, computed with PBE. Values from VASP.

Calculated values
- formation energy (eV/atom) = -0.110
- symmetry = C222_1 (20)
- V (Å³ per cell) = 729

```
&SYSTEM
  ibrav = 0, nat = 24, ntyp = 2
/
ATOMIC_SPECIES
Na 22.99 Na.upf
In 114.82 In.upf
CELL_PARAMETERS angstrom
4.4589 -6.9551 0.0000
4.4589 6.9551 0.0000
0.0000 0.0000 11.7488
ATOMIC_POSITIONS crystal
Na 0.0662 0.9338 0.2500
Na 0.9338 0.0662 0.7500
Na 0.5907 0.5907 0.5000
Na 0.4093 0.4093 0.0000
Na 0.4978 0.8943 0.6686
Na 0.5022 0.1057 0.1686
Na 0.8943 0.4978 0.3314
Na 0.1057 0.5022 0.8314
Na 0.3970 0.1527 0.4578
Na 0.6030 0.8473 0.9578
Na 0.1527 0.3970 0.5422
Na 0.8473 0.6030 0.0422
Na 0.7754 0.0500 0.4172
Na 0.2246 0.9500 0.9172
Na 0.0500 0.7754 0.5828
Na 0.9500 0.2246 0.0828
In 0.3308 0.7578 0.3785
In 0.6692 0.2422 0.8785
In 0.7578 0.3308 0.6215
In 0.2422 0.6692 0.1215
In 0.7271 0.6235 0.7766
In 0.2729 0.3765 0.2766
In 0.6235 0.7271 0.2234
In 0.3765 0.2729 0.7234
```

---

# 2
A relaxed Pd2Rh15S15 crystal, computed with PBE. Values from VASP.

Calculated values
- formation energy (eV/atom) = -0.615
- symmetry = Pm-3m (221)
- V (Å³ per cell) = 1021

```
&SYSTEM
  ibrav = 0, nat = 64, ntyp = 3
/
ATOMIC_SPECIES
Pd 106.42 Pd.upf
Rh 102.91 Rh.upf
S 32.06 S.upf
CELL_PARAMETERS angstrom
-4.9122 -2.8899 8.3013
-8.2248 -1.8436 -5.5087
3.1009 -9.4680 -1.4611
ATOMIC_POSITIONS crystal
Pd 0.5000 0.0000 0.0000
Pd 0.0000 0.0000 0.5000
Pd 0.0000 0.5000 0.0000
Pd 0.5000 0.5000 0.5000
Rh 0.1429 0.3562 0.6438
Rh 0.3562 0.3562 0.8571
Rh 0.3562 0.1429 0.6438
Rh 0.1429 0.6438 0.3562
Rh 0.3562 0.6438 0.1429
Rh 0.3562 0.8571 0.3562
Rh 0.8571 0.3562 0.3562
Rh 0.6438 0.3562 0.1429
Rh 0.6438 0.1429 0.3562
Rh 0.8571 0.6438 0.6438
Rh 0.6438 0.6438 0.8571
Rh 0.6438 0.8571 0.6438
Rh 0.8571 0.6438 0.3562
Rh 0.6438 0.6438 0.1429
Rh 0.6438 0.8571 0.3562
Rh 0.8571 0.3562 0.6438
Rh 0.6438 0.3562 0.8571
Rh 0.6438 0.1429 0.6438
Rh 0.1429 0.6438 0.6438
Rh 0.3562 0.6438 0.8571
Rh 0.3562 0.8571 0.6438
Rh 0.1429 0.3562 0.3562
Rh 0.3562 0.3562 0.1429
Rh 0.3562 0.1429 0.3562
Rh 0.2375 0.0000 0.0000
Rh 0.0000 0.0000 0.7625
Rh 0.0000 0.2375 0.0000
Rh 0.0000 0.0000 0.2375
Rh 0.0000 0.7625 0.0000
Rh 0.7625 0.0000 0.0000
S 0.5000 0.1731 0.8269
S 0.1731 0.1731 0.5000
S 0.1731 0.5000 0.8269
S 0.5000 0.8269 0.1731
S 0.1731 0.8269 0.5000
S 0.1731 0.5000 0.1731
S 0.5000 0.1731 0.1731
S 0.8269 0.1731 0.5000
S 0.8269 0.5000 0.1731
S 0.5000 0.8269 0.8269
S 0.8269 0.8269 0.5000
S 0.8269 0.5000 0.8269
S 0.0000 0.2294 0.7706
S 0.2294 0.2294 0.0000
S 0.2294 0.0000 0.7706
S 0.0000 0.7706 0.2294
S 0.2294 0.7706 0.0000
S 0.2294 0.0000 0.2294
S 0.0000 0.2294 0.2294
S 0.7706 0.2294 0.0000
S 0.7706 0.0000 0.2294
S 0.0000 0.7706 0.7706
S 0.7706 0.7706 0.0000
S 0.7706 0.0000 0.7706
S 0.2582 0.5000 0.5000
S 0.5000 0.5000 0.7418
S 0.5000 0.2582 0.5000
S 0.5000 0.5000 0.2582
S 0.5000 0.7418 0.5000
S 0.7418 0.5000 0.5000
```

---

# 3
A relaxed Cd3P6O28 crystal, computed with PBE. Values from VASP.

Calculated values
- formation energy (eV/atom) = -1.365
- symmetry = P2_1/c (14)
- V (Å³ per cell) = 1271

```
&SYSTEM
  ibrav = 0, nat = 74, ntyp = 3
/
ATOMIC_SPECIES
Cd 112.41 Cd.upf
P 30.97 P.upf
O 16.00 O.upf
CELL_PARAMETERS angstrom
20.2452 0.0000 0.0000
0.0000 7.5735 0.0000
0.0000 5.1229 8.2917
ATOMIC_POSITIONS crystal
Cd 0.7392 0.7562 0.8085
Cd 0.7608 0.7562 0.3085
Cd 0.2608 0.2438 0.1915
Cd 0.2392 0.2438 0.6915
Cd 0.5000 0.5000 0.0000
Cd 0.0000 0.5000 0.5000
P 0.1698 0.5330 0.8234
P 0.3302 0.5330 0.3234
P 0.8302 0.4670 0.1766
P 0.6698 0.4670 0.6766
P 0.1702 0.9569 0.5457
P 0.3298 0.9569 0.0457
P 0.8298 0.0431 0.4543
P 0.6702 0.0431 0.9543
P 0.0452 0.7571 0.6956
P 0.4548 0.7571 0.1956
P 0.9548 0.2429 0.3044
P 0.5452 0.2429 0.8044
O 0.2051 0.7452 0.6847
O 0.2949 0.7452 0.1847
O 0.7949 0.2548 0.3153
O 0.7051 0.2548 0.8153
O 0.0956 0.8859 0.5439
O 0.4044 0.8859 0.0439
O 0.9044 0.1141 0.4561
O 0.5956 0.1141 0.9561
O 0.0974 0.6084 0.8385
O 0.4026 0.6084 0.3385
O 0.9026 0.3916 0.1615
O 0.5974 0.3916 0.6615
O 0.2056 0.4623 0.9777
O 0.2944 0.4623 0.4777
O 0.7944 0.5377 0.0223
O 0.7056 0.5377 0.5223
O 0.1643 0.3891 0.7606
O 0.3357 0.3891 0.2606
O 0.8357 0.6109 0.2394
O 0.6643 0.6109 0.7394
O 0.1702 0.1111 0.5985
O 0.3298 0.1111 0.0985
O 0.8298 0.8889 0.4015
O 0.6702 0.8889 0.9015
O 0.2008 0.0143 0.3877
O 0.2992 0.0143 0.8877
O 0.7992 0.9857 0.6123
O 0.7008 0.9857 0.1123
O 0.0027 0.6254 0.6573
O 0.4973 0.6254 0.1573
O 0.9973 0.3746 0.3427
O 0.5027 0.3746 0.8427
O 0.0094 0.8929 0.7405
O 0.4906 0.8929 0.2405
O 0.9906 0.1071 0.2595
O 0.5094 0.1071 0.7595
O 0.3792 0.6264 0.8333
O 0.1208 0.6264 0.3333
O 0.6208 0.3736 0.1667
O 0.8792 0.3736 0.6667
O 0.3917 0.9447 0.6344
O 0.1083 0.9447 0.1344
O 0.6083 0.0553 0.3656
O 0.8917 0.0553 0.8656
O 0.3625 0.5783 0.7350
O 0.1375 0.5783 0.2350
O 0.6375 0.4217 0.2650
O 0.8625 0.4217 0.7650
O 0.1253 0.8904 0.0410
O 0.3747 0.8904 0.5410
O 0.8747 0.1096 0.9590
O 0.6253 0.1096 0.4590
O 0.0437 0.1918 0.7165
O 0.4563 0.1918 0.2165
O 0.9563 0.8082 0.2835
O 0.5437 0.8082 0.7835
```

---

# 4
A relaxed RhN5Cl3 crystal, computed with PBE. Values from VASP.

Calculated values
- energy above the lowest structure with this stoichiometry (meV/atom) = 79
- formation energy (eV/atom) = 1.410
- symmetry = Pnma (62)
- V (Å³ per cell) = 697

```
&SYSTEM
  ibrav = 0, nat = 36, ntyp = 3
/
ATOMIC_SPECIES
Rh 102.91 Rh.upf
N 14.01 N.upf
Cl 35.45 Cl.upf
CELL_PARAMETERS angstrom
6.7228 0.0000 0.0000
0.0000 7.2346 0.0000
0.0000 0.0000 14.3303
ATOMIC_POSITIONS crystal
Rh 0.2500 0.2951 0.5923
Rh 0.2500 0.2049 0.0923
Rh 0.7500 0.7049 0.4077
Rh 0.7500 0.7951 0.9077
N 0.5632 0.2985 0.6261
N 0.9368 0.2015 0.1261
N 0.0632 0.7015 0.3739
N 0.4368 0.7985 0.8739
N 0.4368 0.7015 0.3739
N 0.0632 0.7985 0.8739
N 0.9368 0.2985 0.6261
N 0.5632 0.2015 0.1261
N 0.2500 0.1858 0.4540
N 0.2500 0.3142 0.9540
N 0.7500 0.8142 0.5460
N 0.7500 0.6858 0.0460
N 0.2500 0.1325 0.6835
N 0.2500 0.3675 0.1835
N 0.7500 0.8675 0.3165
N 0.7500 0.6325 0.8165
N 0.2500 0.5341 0.6125
N 0.2500 0.9659 0.1125
N 0.7500 0.4659 0.3875
N 0.7500 0.0341 0.8875
Cl 0.2500 0.7354 0.4315
Cl 0.2500 0.7646 0.9315
Cl 0.7500 0.2646 0.5685
Cl 0.7500 0.2354 0.0685
Cl 0.5388 0.7575 0.6098
Cl 0.9612 0.7425 0.1098
Cl 0.0388 0.2425 0.3902
Cl 0.4612 0.2575 0.8902
Cl 0.4612 0.2425 0.3902
Cl 0.0388 0.2575 0.8902
Cl 0.9612 0.7575 0.6098
Cl 0.5388 0.7425 0.1098
```

---

# 5
A relaxed Li2SO4 crystal, computed with PBE. Values from VASP.

Calculated values
- formation energy (eV/atom) = -2.311
- symmetry = P2_1/c (14)
- V (Å³ per cell) = 345

```
&SYSTEM
  ibrav = 0, nat = 28, ntyp = 3
/
ATOMIC_SPECIES
Li 6.94 Li.upf
S 32.06 S.upf
O 16.00 O.upf
CELL_PARAMETERS angstrom
5.0295 0.0000 0.0000
0.0000 8.3813 0.0000
0.0000 2.6056 8.1807
ATOMIC_POSITIONS crystal
Li 0.9276 0.0652 0.1290
Li 0.4276 0.4348 0.8710
Li 0.0724 0.9348 0.8710
Li 0.5724 0.5652 0.1290
Li 0.9324 0.3050 0.3787
Li 0.4324 0.1950 0.6213
Li 0.0676 0.6950 0.6213
Li 0.5676 0.8050 0.3787
S 0.4389 0.1913 0.2514
S 0.5611 0.8087 0.7486
S 0.0611 0.6913 0.2514
S 0.9389 0.3087 0.7486
O 0.5535 0.2272 0.3978
O 0.4465 0.7728 0.6022
O 0.0535 0.2728 0.6022
O 0.6469 0.3365 0.7265
O 0.3531 0.6635 0.2735
O 0.8531 0.8365 0.7265
O 0.9331 0.5396 0.2288
O 0.1469 0.1635 0.2735
O 0.4331 0.9604 0.7712
O 0.0669 0.4604 0.7712
O 0.0040 0.8379 0.1062
O 0.5669 0.0396 0.2288
O 0.4960 0.3379 0.1062
O 0.9960 0.1621 0.8938
O 0.5040 0.6621 0.8938
O 0.9465 0.7272 0.3978
```

---

# 6
A relaxed Ti4ZnO8 crystal, computed with PBE. Values from VASP.

Calculated values
- energy above the lowest structure with this stoichiometry (meV/atom) = 73
- formation energy (eV/atom) = -3.025
- symmetry = R-3m (166)
- V (Å³ per cell) = 156

```
&SYSTEM
  ibrav = 0, nat = 13, ntyp = 3
/
ATOMIC_SPECIES
Ti 47.87 Ti.upf
Zn 65.41 Zn.upf
O 16.00 O.upf
CELL_PARAMETERS angstrom
5.3378 -2.9808 0.0000
5.3378 2.9808 0.0000
3.6732 0.0000 4.8872
ATOMIC_POSITIONS crystal
Ti 0.0000 0.5000 0.5000
Ti 0.5000 0.0000 0.5000
Ti 0.5000 0.5000 0.0000
Ti 0.0000 0.0000 0.0000
Zn 0.5000 0.5000 0.5000
O 0.2727 0.7555 0.7555
O 0.2445 0.2445 0.7273
O 0.7273 0.2445 0.2445
O 0.2445 0.7273 0.2445
O 0.2689 0.2689 0.2689
O 0.7311 0.7311 0.7311
O 0.7555 0.2727 0.7555
O 0.7555 0.7555 0.2727
```

---

# 7
A relaxed DyGa6Fe6 crystal, computed with PBE. Values from VASP.

Calculated values
- energy above the lowest structure with this stoichiometry (meV/atom) = 0
- formation energy (eV/atom) = -0.320
- symmetry = Immm (71)
- V (Å³ per cell) = 187

```
&SYSTEM
  ibrav = 0, nat = 13, ntyp = 3
/
ATOMIC_SPECIES
Dy 162.50 Dy.upf
Ga 69.72 Ga.upf
Fe 55.84 Fe.upf
CELL_PARAMETERS angstrom
3.9097 -1.1901 2.9324
-1.1761 1.2132 6.3745
-0.3304 -6.1935 2.2409
ATOMIC_POSITIONS crystal
Dy 0.0000 0.0000 0.0000
Ga 0.0000 0.6654 0.3346
Ga 0.0000 0.3346 0.6654
Ga 0.3431 0.6569 0.6569
Ga 0.6569 0.3431 0.3431
Ga 0.3194 0.1806 0.1806
Ga 0.6806 0.8194 0.8194
Fe 0.5000 0.2457 0.7543
Fe 0.5000 0.7543 0.2457
Fe 0.0000 0.5000 0.0000
Fe 0.5000 0.5000 0.0000
Fe 0.0000 0.0000 0.5000
Fe 0.5000 0.0000 0.5000
```

---

# 8
A relaxed ZrNbP crystal, computed with PBE. Values from VASP.

Calculated values
- formation energy (eV/atom) = -1.079
- symmetry = Pnma (62)
- V (Å³ per cell) = 207

```
&SYSTEM
  ibrav = 0, nat = 12, ntyp = 3
/
ATOMIC_SPECIES
Zr 91.22 Zr.upf
Nb 92.91 Nb.upf
P 30.97 P.upf
CELL_PARAMETERS angstrom
-1.6107 2.6015 1.8894
-6.0221 -3.3540 -0.5157
1.6754 -4.0948 7.0666
ATOMIC_POSITIONS crystal
Zr 0.2500 0.5342 0.8312
Zr 0.7500 0.9658 0.3312
Zr 0.2500 0.0342 0.6688
Zr 0.7500 0.4658 0.1688
Nb 0.2500 0.1392 0.0596
Nb 0.7500 0.8608 0.9404
Nb 0.2500 0.6392 0.4404
Nb 0.7500 0.3608 0.5596
P 0.7500 0.7388 0.6424
P 0.2500 0.7612 0.1424
P 0.7500 0.2388 0.8576
P 0.2500 0.2612 0.3576
```

---

# 9
A relaxed KNaBi2O6 crystal, computed with PBE. Values from VASP.

Calculated values
- energy above the lowest structure with this stoichiometry (meV/atom) = 26
- formation energy (eV/atom) = -1.467
- symmetry = Cmmm (65)
- V (Å³ per cell) = 148

```
&SYSTEM
  ibrav = 0, nat = 10, ntyp = 4
/
ATOMIC_SPECIES
K 39.10 K.upf
Na 22.99 Na.upf
Bi 208.98 Bi.upf
O 16.00 O.upf
CELL_PARAMETERS angstrom
0.0000 0.0000 4.2889
4.1410 -4.1773 0.0000
4.1410 4.1773 0.0000
ATOMIC_POSITIONS crystal
K 0.5000 0.5000 0.5000
Na 0.5000 0.0000 0.0000
Bi 0.0000 0.0000 0.5000
Bi 0.0000 0.5000 0.0000
O 0.5000 0.0000 0.5000
O 0.5000 0.5000 0.0000
O 0.0000 0.3137 0.6863
O 0.0000 0.6863 0.3137
O 0.0000 0.8216 0.8216
O 0.0000 0.1784 0.1784
```

---

# 10
A relaxed SmBiO4 crystal, computed with PBE. Values from VASP.

Calculated values
- formation energy (eV/atom) = -2.433
- symmetry = C2/c (15)
- V (Å³ per cell) = 172

```
&SYSTEM
  ibrav = 0, nat = 12, ntyp = 3
/
ATOMIC_SPECIES
Sm 150.36 Sm.upf
Bi 208.98 Bi.upf
O 16.00 O.upf
CELL_PARAMETERS angstrom
5.7022 3.6805 0.0000
-5.7022 3.6805 0.0000
0.0000 3.4538 4.0897
ATOMIC_POSITIONS crystal
Sm 0.8628 0.1372 0.7500
Sm 0.1372 0.8628 0.2500
Bi 0.5991 0.4009 0.2500
Bi 0.4009 0.5991 0.7500
O 0.4511 0.8876 0.8350
O 0.2835 0.2313 0.7333
O 0.7687 0.7165 0.7667
O 0.8876 0.4511 0.3350
O 0.1124 0.5489 0.6650
O 0.2313 0.2835 0.2333
O 0.7165 0.7687 0.2667
O 0.5489 0.1124 0.1650
```

---

# 11
A relaxed Mn2Pb3N4 crystal, computed with PBE. Values from VASP.

Calculated values
- formation energy (eV/atom) = 0.074
- symmetry = Pnna (52)
- V (Å³ per cell) = 681

```
&SYSTEM
  ibrav = 0, nat = 36, ntyp = 3
/
ATOMIC_SPECIES
Mn 54.94 Mn.upf
Pb 207.20 Pb.upf
N 14.01 N.upf
CELL_PARAMETERS angstrom
7.0732 0.0000 0.0000
0.0000 8.7894 0.0000
0.0000 0.0000 10.9472
ATOMIC_POSITIONS crystal
Mn 0.7500 0.5000 0.6982
Mn 0.7500 0.0000 0.8018
Mn 0.2500 0.5000 0.3018
Mn 0.2500 0.0000 0.1982
Mn 0.6577 0.2500 0.7500
Mn 0.8423 0.7500 0.7500
Mn 0.3423 0.7500 0.2500
Mn 0.1577 0.2500 0.2500
Pb 0.5675 0.1665 0.4436
Pb 0.9325 0.8335 0.4436
Pb 0.5675 0.3335 0.0564
Pb 0.9325 0.6665 0.0564
Pb 0.4325 0.8335 0.5564
Pb 0.0675 0.1665 0.5564
Pb 0.4325 0.6665 0.9436
Pb 0.0675 0.3335 0.9436
Pb 0.7500 0.5000 0.3091
Pb 0.7500 0.0000 0.1909
Pb 0.2500 0.5000 0.6909
Pb 0.2500 0.0000 0.8091
N 0.8085 0.3173 0.6318
N 0.6915 0.6827 0.6318
N 0.8085 0.1827 0.8682
N 0.6915 0.8173 0.8682
N 0.1915 0.6827 0.3682
N 0.3085 0.3173 0.3682
N 0.1915 0.8173 0.1318
N 0.3085 0.1827 0.1318
N 0.5625 0.4381 0.7940
N 0.9375 0.5619 0.7940
N 0.5625 0.0619 0.7060
N 0.9375 0.9381 0.7060
N 0.4375 0.5619 0.2060
N 0.0625 0.4381 0.2060
N 0.4375 0.9381 0.2940
N 0.0625 0.0619 0.2940
```